1.
A plane-wave DFT calculation with PBE was carried out for a geometry-optimized Sr8Cu8O17 structure.

Cell and atoms, written as extended XYZ:
```
33
Lattice="7.8844 -3.9143 0.0000 7.8844 3.9143 0.0000 -3.9363 0.0000 7.1005" Properties=species:S:1:pos:R:3 pbc="T T T"
Sr 3.9422 1.9572 0.0000
Sr 4.0228 1.8692 3.5499
Sr 7.8844 1.9672 0.0000
Sr 7.8097 1.8692 3.5506
Sr 3.9422 -1.9572 0.0000
Sr 4.0228 -1.8692 3.5499
Sr 7.8844 -1.9672 0.0000
Sr 7.8097 -1.8692 3.5506
Cu -1.9646 0.0000 5.3926
Cu 1.9359 0.0000 1.7501
Cu 1.9371 0.0000 5.3594
Cu 5.9194 0.0000 1.6929
Cu 5.9131 0.0000 5.4076
Cu 9.8955 0.0000 1.7411
Cu 9.8966 0.0000 5.3503
Cu 13.7972 0.0000 1.7079
O 1.9749 1.9559 5.2915
O -0.0264 0.0000 1.7996
O 5.9143 1.9913 1.6352
O -0.0194 0.0000 5.2926
O 3.8488 0.0000 1.6596
O 5.9182 1.9913 5.4653
O 3.8447 0.0000 5.4392
O 9.8576 1.9559 1.8090
O 5.9163 0.0000 3.5502
O 1.9749 -1.9559 5.2915
O 7.9878 0.0000 1.6613
O 5.9143 -1.9913 1.6352
O 7.9837 0.0000 5.4409
O 11.8519 0.0000 1.8078
O 5.9182 -1.9913 5.4653
O 11.8589 0.0000 5.3009
O 9.8576 -1.9559 1.8090
```

## Properties
calculated formation energy = -6426 kJ/mol of formula units
symmetry = No. 12
crystal system = monoclinic

2.
A plane-wave DFT calculation with PBE was carried out for a geometry-optimized Sr2Cu2O5 structure.

Cell and atoms, written as extended XYZ:
```
18
Lattice="5.5465 0.0000 0.0000 0.0000 11.0375 0.0000 0.0000 0.0000 3.7515" Properties=species:S:1:pos:R:3 pbc="T T T"
Sr 1.1816 1.4897 0.0000
Sr 1.5916 7.0084 0.0000
Sr 3.9549 4.0291 0.0000
Sr 4.3649 9.5478 0.0000
Cu 1.3434 4.1660 1.8758
Cu 1.4299 9.6848 1.8758
Cu 4.1167 1.3527 1.8758
Cu 4.2031 6.8715 1.8758
O 0.0000 0.0000 1.8758
O 0.0971 8.0659 1.8758
O 1.1488 4.4565 0.0000
O 1.6245 9.9753 0.0000
O 2.6761 2.5471 1.8758
O 2.7733 5.5188 1.8758
O 2.8704 8.4904 1.8758
O 3.9220 1.0622 0.0000
O 4.3978 6.5810 0.0000
O 5.4494 2.9716 1.8758
```

## Properties
calculated formation energy = -1688 kJ/mol of formula units
symmetry = No. 55
crystal system = orthorhombic
E above lowest polymorph = 0 meV/atom

3.
A plane-wave DFT calculation with PBE was carried out for a geometry-optimized Sr2Cu2O3 structure.

Cell and atoms, written as extended XYZ:
```
7
Lattice="0.0000 5.7879 7.3162 2.0800 0.0000 7.3162 2.0800 5.7879 0.0000" Properties=species:S:1:pos:R:3 pbc="T T T"
Sr 2.0800 5.7879 1.6040
Sr 2.0800 5.7879 13.0284
Cu 2.0800 3.8192 7.3162
Cu 2.0800 7.7567 7.3162
O 2.0800 1.8753 7.3162
O 2.0800 5.7879 7.3162
O 2.0800 9.7006 7.3162
```

## Properties
calculated formation energy = -1032 kJ/mol of formula units
symmetry = No. 69
crystal system = orthorhombic

4.
A plane-wave DFT calculation with PBE was carried out for a geometry-optimized Sr2CuO4 structure.

Cell and atoms, written as extended XYZ:
```
14
Lattice="3.9197 0.0000 0.0000 0.0000 3.9197 0.0000 0.0000 0.0000 12.4200" Properties=species:S:1:pos:R:3 pbc="T T T"
Sr 0.0000 0.0000 1.7458
Sr 0.0000 0.0000 10.6742
Sr 1.9599 1.9599 4.4642
Sr 1.9599 1.9599 7.9557
Cu 0.0000 0.0000 6.2100
Cu 1.9599 1.9599 0.0000
O 0.0000 0.0000 4.2516
O 0.0000 0.0000 8.1684
O 0.0000 1.9599 0.0000
O 0.0000 1.9599 6.2100
O 1.9599 0.0000 0.0000
O 1.9599 0.0000 6.2100
O 1.9599 1.9599 1.9584
O 1.9599 1.9599 10.4615
```

## Properties
calculated formation energy = -1477 kJ/mol of formula units
symmetry = No. 139
crystal system = tetragonal

5.
A plane-wave DFT calculation with PBE was carried out for a geometry-optimized Sr2Cu3O5 structure.

Cell and atoms, written as extended XYZ:
```
10
Lattice="1.9724 -9.7937 0.0000 1.9724 9.7937 0.0000 0.0000 0.0000 3.5103" Properties=species:S:1:pos:R:3 pbc="T T T"
Sr 1.9724 7.8157 0.0000
Sr 1.9724 -7.8157 0.0000
Cu 1.9724 3.8988 1.7552
Cu 1.9724 0.0000 1.7552
Cu 1.9724 -3.8988 1.7552
O 0.0000 0.0000 1.7552
O 1.9724 5.8152 1.7552
O 1.9724 1.9907 1.7552
O 1.9724 -1.9907 1.7552
O 1.9724 -5.8152 1.7552
```

## Properties
calculated formation energy = -1776 kJ/mol of formula units
symmetry = No. 65
crystal system = orthorhombic
E above lowest polymorph = 0 meV/atom

6.
A plane-wave DFT calculation with PBE was carried out for a geometry-optimized SrCuO3 structure.

Cell and atoms, written as extended XYZ:
```
5
Lattice="3.8845 0.0000 0.0000 0.0000 3.8845 0.0000 0.0000 0.0000 3.8845" Properties=species:S:1:pos:R:3 pbc="T T T"
Sr 0.0000 0.0000 0.0000
Cu 1.9423 1.9423 1.9423
O 0.0000 1.9423 1.9423
O 1.9423 0.0000 1.9423
O 1.9423 1.9423 0.0000
```

## Properties
calculated formation energy = -840 kJ/mol of formula units
symmetry = No. 221
crystal system = cubic

7.
A plane-wave DFT calculation with PBE was carried out for a geometry-optimized SrCuO3 structure.

Cell and atoms, written as extended XYZ:
```
30
Lattice="3.8358 0.0000 0.0000 0.0000 10.8162 0.0000 -0.0084 0.0000 8.5212" Properties=species:S:1:pos:R:3 pbc="T T T"
Sr 0.0000 0.0000 0.0000
Sr 3.8350 5.4081 0.0959
Sr 0.0029 2.6833 2.6294
Sr 0.0029 8.1328 2.6294
Sr 3.8246 2.7338 5.9750
Sr 3.8246 8.0823 5.9750
Cu 1.9092 5.4081 5.7645
Cu 1.9108 0.0000 5.6792
Cu 1.9180 2.7055 0.0446
Cu 1.9166 5.4081 2.9369
Cu 1.9180 8.1107 0.0446
Cu 1.9196 0.0000 2.8513
O 3.8285 0.0000 5.9345
O 3.8357 2.7054 0.0421
O -0.0012 5.4081 2.7017
O 3.8357 8.1108 0.0421
O 0.0010 0.0000 2.6009
O 1.9080 1.3625 7.0640
O 1.9075 4.0467 7.1660
O 1.9116 4.0731 4.3576
O 1.9116 6.7431 4.3576
O 1.9075 6.7695 7.1660
O 1.9080 9.4536 7.0640
O 1.9160 1.3338 4.2589
O 1.9200 1.3574 1.4451
O 1.9193 4.0506 1.5392
O 1.9193 6.7656 1.5392
O 1.9200 9.4588 1.4451
O 1.9160 9.4824 4.2589
O 3.8264 5.4081 6.0128
```

## Properties
calculated formation energy = -822 kJ/mol of formula units
symmetry = No. 6
crystal system = monoclinic

8.
A plane-wave DFT calculation with PBE was carried out for a geometry-optimized SrCuO2 structure.

Cell and atoms, written as extended XYZ:
```
4
Lattice="3.3022 0.0000 0.0000 0.0000 3.7243 0.0000 0.0000 0.0000 6.4176" Properties=species:S:1:pos:R:3 pbc="T T T"
Sr 0.0000 0.0000 0.0000
Cu 0.0000 1.8622 3.2088
O 0.0000 1.8622 1.4638
O 0.0000 1.8622 4.9538
```

## Properties
calculated formation energy = -601 kJ/mol of formula units
symmetry = No. 47
crystal system = orthorhombic

9.
A plane-wave DFT calculation with PBE was carried out for a geometry-optimized Sr2Cu3O5 structure.

Cell and atoms, written as extended XYZ:
```
10
Lattice="-1.7299 1.9758 9.3495 1.7299 -1.9758 9.3495 1.7299 1.9758 -9.3495" Properties=species:S:1:pos:R:3 pbc="T T T"
Sr 0.0000 0.0000 1.9779
Sr 0.0000 0.0000 16.7211
Cu 0.0000 0.0000 5.3841
Cu 0.0000 0.0000 9.3495
Cu 0.0000 0.0000 13.3148
O 1.7299 0.0000 0.0000
O 1.7299 0.0000 4.0984
O 0.0000 0.0000 7.4079
O 0.0000 0.0000 11.2910
O 0.0000 1.9758 5.2511
```

## Properties
calculated formation energy = -1725 kJ/mol of formula units
symmetry = No. 71
crystal system = orthorhombic
E above lowest polymorph = 53 meV/atom

10.
A plane-wave DFT calculation with PBE was carried out for a geometry-optimized SrCuO3 structure.

Cell and atoms, written as extended XYZ:
```
15
Lattice="3.8559 0.0000 0.0000 0.0000 5.4096 0.0000 0.0000 0.0000 8.5526" Properties=species:S:1:pos:R:3 pbc="T T T"
Sr 0.0000 0.0000 0.0000
Sr 0.0000 2.7048 2.5925
Sr 0.0000 2.7048 5.9601
Cu 1.9279 0.0000 2.8581
Cu 1.9279 0.0000 5.6945
Cu 1.9279 2.7048 0.0000
O 0.0000 0.0000 2.6266
O 0.0000 0.0000 5.9260
O 0.0000 2.7048 0.0000
O 1.9279 1.3449 4.2763
O 1.9279 1.3537 1.4483
O 1.9279 1.3537 7.1043
O 1.9279 4.0558 1.4483
O 1.9279 4.0558 7.1043
O 1.9279 4.0647 4.2763
```

## Properties
calculated formation energy = -823 kJ/mol of formula units
symmetry = No. 47
crystal system = orthorhombic

11.
A plane-wave DFT calculation with PBE was carried out for a geometry-optimized SrCuO2 structure.

Cell and atoms, written as extended XYZ:
```
4
Lattice="4.2514 0.0000 0.0000 0.0000 4.4212 0.0000 -0.5724 0.0000 6.5304" Properties=species:S:1:pos:R:3 pbc="T T T"
Sr 0.0000 0.0000 0.0000
Cu 1.1461 0.0000 3.7894
O 0.4999 0.0000 2.2016
O 1.5745 0.0000 5.5033
```

## Properties
calculated formation energy = -585 kJ/mol of formula units
symmetry = No. 6
crystal system = monoclinic

12.
A plane-wave DFT calculation with PBE was carried out for a geometry-optimized SrCuO2 structure.

Cell and atoms, written as extended XYZ:
```
16
Lattice="3.6444 0.0000 0.0000 0.0000 16.2546 0.0000 0.0000 0.0000 3.9743" Properties=species:S:1:pos:R:3 pbc="T T T"
Sr 0.0000 2.7212 0.9936
Sr 0.0000 13.5334 2.9807
Sr 1.8222 5.4061 2.9807
Sr 1.8222 10.8485 0.9936
Cu 0.0000 7.1168 0.9936
Cu 0.0000 9.1378 2.9807
Cu 1.8222 1.0105 2.9807
Cu 1.8222 15.2442 0.9936
O 0.0000 5.2077 0.9936
O 0.0000 7.2307 2.9807
O 0.0000 9.0239 0.9936
O 0.0000 11.0470 2.9807
O 1.8222 0.8966 0.9936
O 1.8222 2.9196 2.9807
O 1.8222 13.3350 0.9936
O 1.8222 15.3581 2.9807
```

## Properties
calculated formation energy = -802 kJ/mol of formula units
symmetry = No. 63
crystal system = orthorhombic

> What is the formula in the eleventh record?

SrCuO2